(1)
{"formula": "Fe10O11", "functional": "PBE+U", "state": "relaxed", "lattice": [[6.810, 0.000, 0.000], [-2.146, 6.551, 0.000], [-2.602, -2.213, 10.201]], "species": ["Fe", "Fe", "Fe", "Fe", "Fe", "Fe", "Fe", "Fe", "Fe", "Fe", "Fe", "Fe", "Fe", "Fe", "Fe", "Fe", "Fe", "Fe", "Fe", "Fe", "O", "O", "O", "O", "O", "O", "O", "O", "O", "O", "O", "O", "O", "O", "O", "O", "O", "O", "O", "O", "O", "O"], "fractional_positions": [[0.000, 0.000, 0.000], [0.000, 0.000, 0.500], [0.083, 0.443, 0.137], [0.094, 0.471, 0.642], [0.168, 0.912, 0.270], [0.262, 0.361, 0.406], [0.275, 0.349, 0.909], [0.357, 0.819, 0.549], [0.369, 0.822, 0.047], [0.445, 0.259, 0.685], [0.466, 0.273, 0.186], [0.534, 0.727, 0.814], [0.555, 0.741, 0.315], [0.631, 0.178, 0.953], [0.643, 0.181, 0.451], [0.725, 0.651, 0.091], [0.738, 0.639, 0.594], [0.832, 0.088, 0.730], [0.906, 0.529, 0.358], [0.917, 0.557, 0.863], [0.039, 0.719, 0.560], [0.052, 0.733, 0.079], [0.127, 0.197, 0.698], [0.160, 0.179, 0.206], [0.235, 0.652, 0.338], [0.242, 0.624, 0.853], [0.317, 0.084, 0.466], [0.327, 0.110, 0.996], [0.404, 0.532, 0.120], [0.423, 0.554, 0.621], [0.471, 0.000, 0.245], [0.529, 0.000, 0.755], [0.577, 0.446, 0.379], [0.596, 0.468, 0.880], [0.673, 0.890, 0.004], [0.683, 0.916, 0.534], [0.758, 0.376, 0.147], [0.765, 0.348, 0.662], [0.840, 0.821, 0.794], [0.873, 0.803, 0.302], [0.948, 0.267, 0.921], [0.961, 0.281, 0.440]], "vol_a3_per_cell": 455.1, "relative_energy_mev_per_atom": 0, "e_form_ev_per_fu": -31.3}



(2)
{"formula": "FeO", "functional": "PBE+U", "state": "relaxed", "lattice": [[2.221, 2.084, 3.046], [1.245, 2.923, -2.908], [-2.674, 5.523, 1.217]], "species": ["Fe", "Fe", "Fe", "Fe", "O", "O", "O", "O"], "fractional_positions": [[0.500, 0.000, 0.500], [0.250, 0.250, 0.000], [0.000, 0.500, 0.500], [0.750, 0.750, 0.000], [0.375, 0.375, 0.250], [0.875, 0.875, 0.250], [0.125, 0.125, 0.750], [0.625, 0.625, 0.750]], "vol_a3_per_cell": 101.4, "e_form_ev_per_fu": -2.8}